1.
Compound: Mo2H33C13S2N4Cl3O5
Source: the Materials Project
Functional: PBE+U
Structure: relaxed

Cell: 9.137 12.488 14.979 Å, 73.10 75.64 78.30°
Fractional coordinates of all 124 atoms:
Mo (0.241, 0.798, 0.747)
Mo (0.759, 0.202, 0.253)
Mo (0.289, 0.543, 0.693)
Mo (0.711, 0.457, 0.307)
H (0.975, 0.901, 0.917)
H (0.025, 0.099, 0.083)
H (0.761, 0.955, 0.002)
H (0.239, 0.045, 0.998)
H (0.598, 0.911, 0.984)
H (0.402, 0.089, 0.016)
H (0.673, 0.842, 0.089)
H (0.327, 0.158, 0.911)
H (0.725, 0.646, 0.038)
H (0.275, 0.354, 0.962)
H (0.630, 0.727, 0.943)
H (0.370, 0.273, 0.057)
H (0.822, 0.657, 0.916)
H (0.178, 0.343, 0.084)
H (0.139, 0.304, 0.775)
H (0.861, 0.696, 0.225)
H (0.840, 0.489, 0.888)
H (0.160, 0.511, 0.112)
H (0.699, 0.423, 0.867)
H (0.301, 0.577, 0.133)
H (0.771, 0.369, 0.975)
H (0.229, 0.631, 0.025)
H (0.990, 0.176, 0.822)
H (0.010, 0.824, 0.178)
H (0.850, 0.179, 0.929)
H (0.150, 0.821, 0.071)
H (0.796, 0.237, 0.816)
H (0.204, 0.763, 0.184)
H (0.310, 0.529, 0.477)
H (0.690, 0.471, 0.523)
H (0.029, 0.337, 0.600)
H (0.971, 0.663, 0.400)
H (0.025, 0.305, 0.491)
H (0.975, 0.695, 0.509)
H (0.171, 0.233, 0.556)
H (0.829, 0.767, 0.444)
H (0.321, 0.337, 0.366)
H (0.679, 0.663, 0.634)
H (0.142, 0.421, 0.347)
H (0.858, 0.579, 0.653)
H (0.303, 0.486, 0.345)
H (0.697, 0.514, 0.655)
H (0.170, 0.052, 0.399)
H (0.830, 0.948, 0.601)
H (0.271, 0.986, 0.494)
H (0.729, 0.014, 0.506)
H (0.356, 0.087, 0.391)
H (0.644, 0.913, 0.609)
H (0.322, 0.764, 0.371)
H (0.678, 0.236, 0.629)
H (0.258, 0.798, 0.484)
H (0.742, 0.202, 0.516)
H (0.150, 0.862, 0.392)
H (0.850, 0.138, 0.608)
H (0.582, 0.955, 0.361)
H (0.418, 0.045, 0.639)
H (0.504, 0.853, 0.467)
H (0.496, 0.147, 0.533)
H (0.565, 0.816, 0.355)
H (0.435, 0.184, 0.645)
H (0.250, 0.999, 0.252)
H (0.750, 0.001, 0.748)
H (0.437, 0.038, 0.237)
H (0.563, 0.962, 0.763)
H (0.420, 0.899, 0.231)
H (0.580, 0.101, 0.769)
C (0.943, 0.821, 0.915)
C (0.057, 0.179, 0.085)
C (0.057, 0.368, 0.806)
C (0.943, 0.632, 0.194)
C (0.233, 0.469, 0.523)
C (0.767, 0.531, 0.477)
C (0.703, 0.882, 0.012)
C (0.297, 0.118, 0.988)
C (0.741, 0.701, 0.965)
C (0.259, 0.299, 0.035)
C (0.801, 0.409, 0.899)
C (0.199, 0.591, 0.101)
C (0.888, 0.225, 0.855)
C (0.112, 0.775, 0.145)
C (0.098, 0.314, 0.535)
C (0.902, 0.686, 0.465)
C (0.242, 0.412, 0.378)
C (0.758, 0.588, 0.622)
C (0.283, 0.020, 0.417)
C (0.717, 0.980, 0.583)
C (0.265, 0.830, 0.407)
C (0.735, 0.170, 0.593)
C (0.515, 0.885, 0.390)
C (0.485, 0.115, 0.610)
C (0.367, 0.969, 0.264)
C (0.633, 0.031, 0.736)
S (0.351, 0.607, 0.811)
S (0.649, 0.393, 0.189)
S (0.105, 0.711, 0.673)
S (0.895, 0.289, 0.327)
N (0.802, 0.802, 0.963)
N (0.198, 0.198, 0.037)
N (0.922, 0.335, 0.852)
N (0.078, 0.665, 0.148)
N (0.191, 0.403, 0.480)
N (0.809, 0.597, 0.520)
N (0.357, 0.926, 0.370)
N (0.643, 0.074, 0.630)
Cl (0.317, 0.858, 0.872)
Cl (0.683, 0.142, 0.128)
Cl (0.066, 0.983, 0.710)
Cl (0.934, 0.017, 0.290)
Cl (0.433, 0.349, 0.751)
Cl (0.567, 0.651, 0.249)
O (0.388, 0.843, 0.653)
O (0.612, 0.157, 0.347)
O (0.426, 0.584, 0.592)
O (0.574, 0.416, 0.408)
O (0.034, 0.755, 0.871)
O (0.966, 0.245, 0.129)
O (0.092, 0.463, 0.798)
O (0.908, 0.537, 0.202)
O (0.188, 0.462, 0.611)
O (0.812, 0.538, 0.389)

Properties
Formation energy in eV/atom: -0.42
Total magnetic moment in μB/cell: 4.26
VASP energy in eV per cell: -680.90



2.
Compound: Li9Mn2Co5O16
Source: the Materials Project
Functional: PBE+U
Structure: relaxed

Cell: 3.009 9.960 10.082 Å, 106.77 91.53 93.04°
Fractional coordinates of all 32 atoms:
Li (0.997, 0.003, 0.257)
Li (0.506, 0.252, 0.743)
Li (0.994, 0.501, 0.250)
Li (0.503, 0.250, 0.254)
Li (0.006, 0.499, 0.750)
Li (0.494, 0.748, 0.257)
Li (0.497, 0.750, 0.746)
Li (0.003, 0.997, 0.743)
Li (0.500, 0.000, 0.500)
Mn (0.999, 0.751, 0.001)
Mn (0.001, 0.249, 0.999)
Co (0.500, 0.500, 0.500)
Co (0.999, 0.241, 0.499)
Co (0.500, 0.500, 0.000)
Co (0.001, 0.759, 0.501)
Co (0.500, 0.000, 0.000)
O (0.473, 0.876, 0.117)
O (0.995, 0.142, 0.616)
O (0.471, 0.376, 0.116)
O (0.969, 0.122, 0.113)
O (0.470, 0.378, 0.614)
O (0.971, 0.621, 0.114)
O (0.010, 0.629, 0.610)
O (0.485, 0.865, 0.615)
O (0.515, 0.135, 0.385)
O (0.029, 0.379, 0.886)
O (0.530, 0.622, 0.386)
O (0.990, 0.371, 0.390)
O (0.529, 0.624, 0.884)
O (0.005, 0.858, 0.384)
O (0.031, 0.878, 0.887)
O (0.527, 0.124, 0.883)

Properties
Formation energy in eV/atom: -1.79
Total magnetic moment in μB/cell: 14.00
Energy above the most stable polymorph in this dataset in meV/atom: 73
VASP energy in eV per cell: -185.01



3.
Compound: Ti3Mn2VP6O24
Source: the Materials Project
Functional: PBE+U
Structure: relaxed

Cell: 8.684 8.684 8.684 Å, 59.87 59.87 59.87°
Fractional coordinates of all 36 atoms:
Ti (0.646, 0.646, 0.646)
Ti (0.855, 0.855, 0.855)
Ti (0.353, 0.353, 0.353)
Mn (0.000, 0.000, 0.000)
Mn (0.501, 0.501, 0.501)
V (0.143, 0.143, 0.143)
P (0.956, 0.250, 0.542)
P (0.542, 0.956, 0.250)
P (0.250, 0.542, 0.956)
P (0.749, 0.457, 0.044)
P (0.457, 0.044, 0.749)
P (0.044, 0.749, 0.457)
O (0.500, 0.119, 0.310)
O (0.310, 0.500, 0.119)
O (0.119, 0.310, 0.500)
O (0.941, 0.086, 0.737)
O (0.991, 0.194, 0.387)
O (0.763, 0.416, 0.564)
O (0.737, 0.941, 0.086)
O (0.564, 0.763, 0.416)
O (0.809, 0.619, 0.001)
O (0.416, 0.564, 0.763)
O (0.909, 0.265, 0.057)
O (0.619, 0.001, 0.809)
O (0.387, 0.991, 0.194)
O (0.086, 0.737, 0.941)
O (0.583, 0.444, 0.236)
O (0.194, 0.387, 0.991)
O (0.444, 0.236, 0.583)
O (0.265, 0.057, 0.909)
O (0.236, 0.583, 0.444)
O (0.001, 0.809, 0.619)
O (0.057, 0.909, 0.265)
O (0.883, 0.686, 0.504)
O (0.686, 0.504, 0.883)
O (0.504, 0.883, 0.686)

Properties
Formation energy in eV/atom: -2.86
Total magnetic moment in μB/cell: 13.00
VASP energy in eV per cell: -283.92



4.
Compound: CsMo2P3O13
Source: the Materials Project
Functional: PBE+U
Structure: relaxed

Cell: 6.456 9.963 10.285 Å, 83.11 82.34 71.86°
Fractional coordinates of all 38 atoms:
Cs (0.501, 0.001, 0.498)
Cs (0.489, 0.569, 0.957)
Mo (0.856, 0.638, 0.257)
Mo (0.145, 0.362, 0.742)
Mo (0.150, 0.090, 0.180)
Mo (0.849, 0.912, 0.820)
P (0.705, 0.996, 0.136)
P (0.295, 0.004, 0.864)
P (0.298, 0.724, 0.324)
P (0.703, 0.276, 0.677)
P (0.009, 0.303, 0.445)
P (0.991, 0.697, 0.555)
O (0.857, 0.046, 0.210)
O (0.144, 0.953, 0.790)
O (0.167, 0.665, 0.243)
O (0.833, 0.337, 0.757)
O (0.743, 0.118, 0.703)
O (0.257, 0.883, 0.298)
O (0.539, 0.634, 0.307)
O (0.462, 0.366, 0.694)
O (0.469, 0.085, 0.184)
O (0.531, 0.912, 0.817)
O (0.771, 0.308, 0.522)
O (0.229, 0.691, 0.479)
O (0.729, 0.839, 0.179)
O (0.272, 0.161, 0.820)
O (0.834, 0.717, 0.450)
O (0.165, 0.283, 0.550)
O (0.897, 0.559, 0.114)
O (0.102, 0.443, 0.884)
O (0.751, 0.021, 0.985)
O (0.249, 0.978, 0.014)
O (0.922, 0.828, 0.634)
O (0.078, 0.172, 0.366)
O (0.976, 0.442, 0.361)
O (0.022, 0.559, 0.640)
O (0.052, 0.251, 0.098)
O (0.949, 0.749, 0.900)

Properties
Formation energy in eV/atom: -2.46
Total magnetic moment in μB/cell: 0.00
Energy above the most stable polymorph in this dataset in meV/atom: 5
VASP energy in eV per cell: -269.29



- What is the total magnetic moment in the first record?
  4.26 μB/cell



- Which value of VASP energy does entry 3 give?
  -283.92 eV per cell